This record from the Materials Project database describes a relaxed structure of Li4CrP6H8O22. The functional is GGA+U.

Calculated values
- Space-group type: P2_1/c (14)
- Energy relative to the lowest polymorph listed for this composition: 19 meV per atom
- Size of the total moment: 4.000 μB/f.u.
- Calculated total energy: -6.311 eV per atom

a = 8.1587 Å, b = 15.3805 Å, c = 7.4854 Å
α = 90.00°, β = 94.17°, γ = 90.00°
Closest atoms and distances in Å follow each position.
Fractional coordinates of all 82 atoms:
Li 0.1104 0.1132 0.1406  3 O 1.94-2.04
Li 0.1104 0.3868 0.6406  3 O 1.94-2.04
Li 0.3425 0.7243 0.4674  3 O 1.90-2.07
Li 0.3425 0.7757 0.9674  3 O 1.90-2.07
Li 0.6575 0.2243 0.0326  3 O 1.90-2.07
Li 0.6575 0.2757 0.5326  3 O 1.90-2.07
Li 0.8896 0.6132 0.3594  3 O 1.94-2.04
Li 0.8896 0.8868 0.8594  3 O 1.94-2.04
Cr 0.5000 0.0000 0.0000  4 O 2.05-2.21
Cr 0.5000 0.5000 0.5000  4 O 2.05-2.21
P 0.0274 0.6777 0.7399  4 O 1.48-1.65
P 0.0274 0.8223 0.2399  4 O 1.48-1.65
P 0.1917 0.0633 0.5637  4 O 1.49-1.63
P 0.1917 0.4367 0.0637  4 O 1.49-1.63
P 0.3185 0.1834 0.8360  4 O 1.50-1.65
P 0.3185 0.3166 0.3360  4 O 1.50-1.65
P 0.6815 0.6834 0.6640  4 O 1.50-1.65
P 0.6815 0.8166 0.1640  4 O 1.50-1.65
P 0.8083 0.5633 0.9363  4 O 1.49-1.63
P 0.8083 0.9367 0.4363  4 O 1.49-1.63
P 0.9726 0.1777 0.7601  4 O 1.48-1.65
P 0.9726 0.3223 0.2601  4 O 1.48-1.65
H 0.2482 0.5791 0.6289  1 O 1.00
H 0.2482 0.9209 0.1289  1 O 1.00
H 0.3095 0.5087 0.7708  1 O 1.01
H 0.3095 0.9913 0.2708  1 O 1.01
H 0.3238 0.5856 0.2502  1 O 1.02
H 0.3238 0.9144 0.7502  1 O 1.02
H 0.4901 0.6446 0.2678  1 O 0.99
H 0.4901 0.8554 0.7678  1 O 0.99
H 0.5099 0.1446 0.2322  1 O 0.99
H 0.5099 0.3554 0.7322  1 O 0.99
H 0.6762 0.0856 0.2498  1 O 1.02
H 0.6762 0.4144 0.7498  1 O 1.02
H 0.6905 0.0087 0.7292  1 O 1.01
H 0.6905 0.4913 0.2292  1 O 1.01
H 0.7518 0.0791 0.8711  1 O 1.00
H 0.7518 0.4209 0.3711  1 O 1.00
O 0.0234 0.1127 0.6038  2 P 1.62
O 0.0234 0.3873 0.1038  2 P 1.62
O 0.0590 0.6267 0.5727  1 P 1.52
O 0.0590 0.8733 0.0727  1 P 1.52
O 0.1430 0.2353 0.7952  2 P 1.65
O 0.1430 0.2647 0.2952  2 P 1.65
O 0.1601 0.7358 0.8162  1 P 1.48
O 0.1601 0.7642 0.3162  1 P 1.48
O 0.2021 0.5223 0.1574  1 P 1.49, 1 H 1.52
O 0.2021 0.9777 0.6574  1 P 1.49, 1 H 1.52
O 0.2048 0.0653 0.3644  1 P 1.50, 1 H 1.61
O 0.2048 0.4347 0.8644  1 P 1.50, 1 H 1.61
O 0.2943 0.1191 0.9842  1 P 1.51
O 0.2943 0.3809 0.4842  1 P 1.51
O 0.3302 0.1311 0.6495  2 P 1.62-1.63
O 0.3302 0.3689 0.1495  2 P 1.62-1.63
O 0.3511 0.5514 0.6824  2 H 1.00-1.01
O 0.3511 0.9486 0.1824  2 H 1.00-1.01
O 0.4113 0.6126 0.3373  2 H 0.99-1.02
O 0.4113 0.8874 0.8373  2 H 0.99-1.02
O 0.4583 0.2465 0.8560  1 P 1.50
O 0.4583 0.2535 0.3560  1 P 1.50
O 0.5417 0.7465 0.6440  1 P 1.50
O 0.5417 0.7535 0.1440  1 P 1.50
O 0.5887 0.1126 0.1627  2 H 0.99-1.02
O 0.5887 0.3874 0.6627  2 H 0.99-1.02
O 0.6489 0.0514 0.8176  2 H 1.00-1.01
O 0.6489 0.4486 0.3176  2 H 1.00-1.01
O 0.6698 0.6311 0.8505  2 P 1.62-1.63
O 0.6698 0.8689 0.3505  2 P 1.62-1.63
O 0.7057 0.6191 0.5158  1 P 1.51
O 0.7057 0.8809 0.0158  1 P 1.51
O 0.7952 0.5653 0.1356  1 P 1.50, 1 H 1.61
O 0.7952 0.9347 0.6356  1 P 1.50, 1 H 1.61
O 0.7979 0.0223 0.3426  1 P 1.49, 1 H 1.52
O 0.7979 0.4777 0.8426  1 P 1.49, 1 H 1.52
O 0.8399 0.2358 0.6838  1 P 1.48
O 0.8399 0.2642 0.1838  1 P 1.48
O 0.8570 0.7353 0.7048  2 P 1.65
O 0.8570 0.7647 0.2048  2 P 1.65
O 0.9410 0.1267 0.9273  1 P 1.52
O 0.9410 0.3733 0.4273  1 P 1.52
O 0.9766 0.6127 0.8962  2 P 1.62
O 0.9766 0.8873 0.3962  2 P 1.62